# Ta6V3Fe3C2 GGA-PBE relaxed
data_Ta6V3Fe3C2
_chemical_formula_sum 'Ta12 V6 Fe6 C4'
_symmetry_space_group_name_H-M 'P 1'
_symmetry_Int_Tables_number 1
_cell_length_a 8.157
_cell_length_b 8.157
_cell_length_c 8.157
_cell_angle_alpha 120.31
_cell_angle_beta 119.91
_cell_angle_gamma 89.81
loop_
_symmetry_equiv_pos_as_xyz
'x,y,z'
loop_
_atom_site_label
_atom_site_type_symbol
_atom_site_fract_x
_atom_site_fract_y
_atom_site_fract_z
_atom_site_occupancy
Ta1 Ta 0.000 0.000 0.000 1
Ta2 Ta 0.003 0.002 0.621 1
Ta3 Ta 0.003 0.382 0.001 1
Ta4 Ta 0.247 0.747 0.500 1
Ta5 Ta 0.249 0.132 0.498 1
Ta6 Ta 0.249 0.751 0.117 1
Ta7 Ta 0.380 0.002 0.999 1
Ta8 Ta 0.380 0.380 0.000 1
Ta9 Ta 0.380 0.382 0.379 1
Ta10 Ta 0.634 0.132 0.883 1
Ta11 Ta 0.634 0.134 0.500 1
Ta12 Ta 0.634 0.751 0.502 1
V1 V 0.025 0.368 0.657 1
V2 V 0.613 0.454 0.841 1
V3 V 0.613 0.772 0.159 1
V4 V 0.615 0.772 0.843 1
V5 V 0.711 0.368 0.343 1
V6 V 0.930 0.772 0.157 1
Fe1 Fe 0.026 0.366 0.340 1
Fe2 Fe 0.026 0.685 0.660 1
Fe3 Fe 0.319 0.570 0.750 1
Fe4 Fe 0.818 0.072 0.253 1
Fe5 Fe 0.818 0.565 0.747 1
Fe6 Fe 0.820 0.570 0.250 1
C1 C 0.316 0.067 0.249 1
C2 C 0.317 0.064 0.747 1
C3 C 0.317 0.570 0.253 1
C4 C 0.818 0.067 0.751 1
# Total magnetic moment: 2.9 μB/f.u.
# Formation energy: -0.3267 eV/atom

# Tb2Fe17C2 GGA-PBE relaxed
data_Tb2Fe17C2
_chemical_formula_sum 'Tb2 Fe17 C2'
_symmetry_space_group_name_H-M 'P 1'
_symmetry_Int_Tables_number 1
_cell_length_a 6.472
_cell_length_b 6.472
_cell_length_c 6.501
_cell_angle_alpha 96.33
_cell_angle_beta 96.33
_cell_angle_gamma 83.37
loop_
_symmetry_equiv_pos_as_xyz
'x,y,z'
loop_
_atom_site_label
_atom_site_type_symbol
_atom_site_fract_x
_atom_site_fract_y
_atom_site_fract_z
_atom_site_occupancy
Tb1 Tb 0.153 0.153 0.335 1
Tb2 Tb 0.847 0.847 0.665 1
Fe1 Fe 0.000 0.500 0.000 1
Fe2 Fe 0.155 0.155 0.855 1
Fe3 Fe 0.156 0.647 0.342 1
Fe4 Fe 0.214 0.498 0.714 1
Fe5 Fe 0.215 0.785 0.000 1
Fe6 Fe 0.353 0.844 0.658 1
Fe7 Fe 0.403 0.403 0.096 1
Fe8 Fe 0.498 0.214 0.714 1
Fe9 Fe 0.500 0.000 0.000 1
Fe10 Fe 0.500 0.500 0.500 1
Fe11 Fe 0.502 0.786 0.286 1
Fe12 Fe 0.597 0.597 0.904 1
Fe13 Fe 0.647 0.156 0.342 1
Fe14 Fe 0.785 0.215 0.000 1
Fe15 Fe 0.786 0.502 0.286 1
Fe16 Fe 0.844 0.353 0.658 1
Fe17 Fe 0.845 0.845 0.145 1
C1 C 0.000 0.500 0.500 1
C2 C 0.500 0.000 0.500 1
# Total magnetic moment: 36.0 μB/f.u.
# Formation energy: -0.0572 eV/atom

# Tb2FeC4 GGA-PBE relaxed
data_Tb2FeC4
_chemical_formula_sum 'Tb4 Fe2 C8'
_symmetry_space_group_name_H-M 'P 1'
_symmetry_Int_Tables_number 1
_cell_length_a 6.629
_cell_length_b 6.629
_cell_length_c 6.629
_cell_angle_alpha 111.17
_cell_angle_beta 85.93
_cell_angle_gamma 135.22
loop_
_symmetry_equiv_pos_as_xyz
'x,y,z'
loop_
_atom_site_label
_atom_site_type_symbol
_atom_site_fract_x
_atom_site_fract_y
_atom_site_fract_z
_atom_site_occupancy
Tb1 Tb 0.144 0.158 0.302 1
Tb2 Tb 0.356 0.658 0.013 1
Tb3 Tb 0.644 0.342 0.987 1
Tb4 Tb 0.856 0.842 0.698 1
Fe1 Fe 0.250 0.750 0.500 1
Fe2 Fe 0.750 0.250 0.500 1
C1 C 0.078 0.664 0.742 1
C2 C 0.128 0.836 0.964 1
C3 C 0.372 0.336 0.708 1
C4 C 0.422 0.164 0.587 1
C5 C 0.578 0.836 0.413 1
C6 C 0.628 0.664 0.292 1
C7 C 0.872 0.164 0.036 1
C8 C 0.922 0.336 0.258 1
# Total magnetic moment: 0.0 μB/f.u.
# Formation energy: -0.2793 eV/atom